A relaxed Cs2NaScI6 crystal. Source: the Materials Project database, functional PBE.

Cell: 8.6035 8.6035 8.6035 Å, 60.00 60.00 60.00°
Fractional coordinates of all 10 atoms:
I 0.2384 0.7616 0.7616
I 0.7616 0.7616 0.2384
Cs 0.7500 0.7500 0.7500
I 0.7616 0.2384 0.7616
I 0.7616 0.2384 0.2384
I 0.2384 0.2384 0.7616
Na 0.5000 0.5000 0.5000
I 0.2384 0.7616 0.2384
Sc 0.0000 0.0000 0.0000
Cs 0.2500 0.2500 0.2500

Properties
Crystal system: cubic



A relaxed Cs2NaTaI6 crystal. Source: the Materials Project database, functional PBE.

Cell: 8.5234 8.5234 8.5234 Å, 60.00 60.00 60.00°
Fractional coordinates of all 10 atoms:
Cs 0.2500 0.2500 0.2500
I 0.2363 0.7637 0.7637
I 0.7637 0.2363 0.2363
Na 0.5000 0.5000 0.5000
Ta 0.0000 0.0000 0.0000
I 0.2363 0.2363 0.7637
I 0.7637 0.2363 0.7637
I 0.2363 0.7637 0.2363
Cs 0.7500 0.7500 0.7500
I 0.7637 0.7637 0.2363

Properties
Crystal system: cubic



A relaxed Cs2NaYI6 crystal. Source: the Materials Project database, functional PBE.

Cell: 8.7657 8.7657 8.7657 Å, 60.00 60.00 60.00°
Fractional coordinates of all 10 atoms:
Cs 0.2500 0.2500 0.2500
Y 0.0000 0.0000 0.0000
I 0.7558 0.2442 0.2442
I 0.2442 0.7558 0.7558
Na 0.5000 0.5000 0.5000
I 0.7558 0.2442 0.7558
Cs 0.7500 0.7500 0.7500
I 0.2442 0.2442 0.7558
I 0.2442 0.7558 0.2442
I 0.7558 0.7558 0.2442

Properties
Crystal system: cubic



A relaxed CsNb6I11 crystal. Source: the Materials Project database, functional PBE.

Cell: 11.2785 11.2785 12.1499 Å, 90.00 90.00 120.00°
Fractional coordinates of all 36 atoms:
I 0.3772 0.0262 0.8414
Nb 0.8050 0.4822 0.8472
I 0.6490 0.0262 0.6586
I 0.2841 0.2841 0.0000
Nb 0.6772 0.4822 0.6528
I 0.6667 0.3333 0.0421
Nb 0.4822 0.8050 0.1528
Nb 0.3228 0.5178 0.1528
Cs 0.0000 0.0000 0.7500
Nb 0.6772 0.1950 0.8472
Nb 0.8050 0.3228 0.6528
Nb 0.5178 0.3228 0.8472
I 0.6667 0.3333 0.4579
I 0.9738 0.6228 0.6586
I 0.3333 0.6667 0.5421
I 0.0262 0.6490 0.3414
I 0.6228 0.9738 0.3414
I 0.3333 0.6667 0.9579
I 0.7159 0.7159 0.5000
I 0.3510 0.9738 0.1586
Nb 0.4822 0.6772 0.3472
I 0.0000 0.7159 0.0000
Cs 0.0000 0.0000 0.2500
Nb 0.3228 0.8050 0.3472
I 0.6490 0.6228 0.8414
Nb 0.1950 0.5178 0.3472
I 0.2841 0.0000 0.5000
I 0.9738 0.3510 0.8414
I 0.0262 0.3772 0.1586
I 0.6228 0.6490 0.1586
Nb 0.5178 0.1950 0.6528
I 0.7159 0.0000 0.0000
I 0.0000 0.2841 0.5000
Nb 0.1950 0.6772 0.1528
I 0.3772 0.3510 0.6586
I 0.3510 0.3772 0.3414

Properties
Crystal system: hexagonal



A relaxed Cs2I4O11 crystal. Source: the Materials Project database, functional PBE.

Cell: 7.4298 7.4298 14.1869 Å, 90.00 90.00 120.00°
Fractional coordinates of all 34 atoms:
O 0.6670 0.6087 0.8274
O 0.8852 0.2300 0.1936
Cs 0.3333 0.6667 0.5145
O 0.0000 0.0000 0.8161
O 0.0924 0.8395 0.0086
I 0.0000 0.0000 0.5671
Cs 0.6667 0.3333 0.0145
O 0.0584 0.6670 0.3274
I 0.0000 0.0000 0.0671
O 0.7700 0.6552 0.1936
I 0.8536 0.1864 0.3196
I 0.1864 0.3328 0.8196
O 0.3448 0.1148 0.1936
I 0.6672 0.8536 0.8196
O 0.7471 0.9076 0.0086
I 0.3328 0.1464 0.3196
O 0.3333 0.6667 0.8360
Cs 0.6667 0.3333 0.6443
O 0.2300 0.3448 0.6936
O 0.2529 0.0924 0.5086
O 0.1148 0.7700 0.6936
I 0.1464 0.8136 0.8196
O 0.6087 0.9416 0.3274
O 0.8395 0.7471 0.5086
O 0.9416 0.3330 0.8274
O 0.3913 0.0584 0.8274
O 0.0000 0.0000 0.3161
O 0.1605 0.2529 0.0086
O 0.6552 0.8852 0.6936
O 0.6667 0.3333 0.3360
Cs 0.3333 0.6667 0.1443
O 0.9076 0.1605 0.5086
I 0.8136 0.6672 0.3196
O 0.3330 0.3913 0.3274

Properties
Crystal system: hexagonal
Polymorph energy (0 for the lowest one): 8 meV/atom



A relaxed Cs2I4O11 crystal. Source: the Materials Project database, functional PBE.

Cell: 7.6089 13.0449 16.4068 Å, 57.86 90.00 90.00°
Fractional coordinates of all 68 atoms:
O 0.7548 0.5599 0.7807
O 0.2452 0.4401 0.2193
O 0.9666 0.1049 0.6071
I 0.9640 0.0045 0.7375
O 0.7908 0.8285 0.5809
I 0.9812 0.5063 0.2666
O 0.0334 0.8951 0.3929
O 0.1139 0.8856 0.7545
O 0.8842 0.3897 0.2522
O 0.8200 0.6591 0.8971
I 0.7799 0.7705 0.0056
O 0.1158 0.6103 0.7478
O 0.0778 0.1015 0.0775
O 0.3200 0.3409 0.6029
Cs 0.7549 0.3753 0.0606
O 0.5353 0.7357 0.7664
O 0.2536 0.0878 0.7548
O 0.5334 0.1049 0.1071
Cs 0.7527 0.1292 0.4298
I 0.7740 0.7318 0.7692
Cs 0.2473 0.8708 0.5702
O 0.4222 0.1015 0.5775
O 0.5457 0.6640 0.5802
O 0.6800 0.6591 0.3971
O 0.5321 0.5784 0.1052
I 0.7260 0.7318 0.2692
Cs 0.2527 0.8708 0.0702
I 0.0188 0.4937 0.7334
O 0.9222 0.8985 0.9225
I 0.0360 0.9955 0.2625
I 0.5360 0.0045 0.2375
I 0.2260 0.2682 0.2308
O 0.7536 0.9122 0.7452
I 0.2799 0.2295 0.4944
O 0.6158 0.3897 0.7522
O 0.9679 0.5784 0.6052
O 0.0457 0.3360 0.9198
O 0.6139 0.1144 0.7455
I 0.2201 0.2295 0.9944
O 0.0321 0.4216 0.3948
O 0.4679 0.4216 0.8948
O 0.3861 0.8856 0.2545
I 0.4812 0.4937 0.2334
O 0.4666 0.8951 0.8929
O 0.9647 0.7357 0.2664
O 0.2908 0.1715 0.9191
Cs 0.2451 0.6247 0.9394
O 0.1800 0.3409 0.1029
O 0.7092 0.8285 0.0809
O 0.7464 0.9122 0.2452
O 0.7452 0.5599 0.2807
I 0.5188 0.5063 0.7666
O 0.5778 0.8985 0.4225
O 0.3842 0.6103 0.2478
O 0.2092 0.1715 0.4191
I 0.7201 0.7705 0.5056
I 0.2740 0.2682 0.7308
O 0.2464 0.0878 0.2548
Cs 0.7473 0.1292 0.9298
Cs 0.2549 0.6247 0.4394
O 0.2548 0.4401 0.7193
O 0.0353 0.2643 0.7336
I 0.4640 0.9955 0.7625
O 0.8861 0.1144 0.2455
O 0.9543 0.6640 0.0802
O 0.4543 0.3360 0.4198
Cs 0.7451 0.3753 0.5606
O 0.4647 0.2643 0.2336

Properties
Crystal system: monoclinic
Polymorph energy (0 for the lowest one): 0 meV/atom



What are the energy of formation from the pure elements values for these records? In order: -1.61, -1.17, -1.69, -0.80, -1.15, -1.15 eV per atom.